# 1
Below is a relaxed structure of Li17Nb18O54, with properties calculated at the GGA-PBE level.

```
data_Li17Nb18O54
_cell_length_a 9.057
_cell_length_b 9.897
_cell_length_c 11.864
_cell_angle_alpha 79.39
_cell_angle_beta 75.26
_cell_angle_gamma 81.23
_space_group_name_H-M_alt 'P 1'
_space_group_IT_number 1
loop_
_space_group_symop_operation_xyz
'x,y,z'
loop_
_atom_site_label
_atom_site_type_symbol
_atom_site_fract_x
_atom_site_fract_y
_atom_site_fract_z
_atom_site_occupancy
Li1 Li 0.000 0.000 0.000 1
Li2 Li 0.052 0.111 0.278 1
Li3 Li 0.107 0.223 0.557 1
Li4 Li 0.163 0.333 0.835 1
Li5 Li 0.220 0.445 0.111 1
Li6 Li 0.275 0.556 0.389 1
Li7 Li 0.331 0.666 0.667 1
Li8 Li 0.386 0.778 0.945 1
Li9 Li 0.442 0.887 0.223 1
Li10 Li 0.498 0.000 0.500 1
Li11 Li 0.552 0.110 0.777 1
Li12 Li 0.663 0.333 0.334 1
Li13 Li 0.721 0.444 0.612 1
Li14 Li 0.776 0.555 0.889 1
Li15 Li 0.831 0.667 0.167 1
Li16 Li 0.886 0.779 0.444 1
Li17 Li 0.942 0.889 0.723 1
Nb1 Nb 0.015 0.598 0.649 1
Nb2 Nb 0.070 0.709 0.927 1
Nb3 Nb 0.125 0.821 0.205 1
Nb4 Nb 0.181 0.932 0.483 1
Nb5 Nb 0.236 0.042 0.761 1
Nb6 Nb 0.298 0.152 0.039 1
Nb7 Nb 0.348 0.265 0.317 1
Nb8 Nb 0.403 0.376 0.595 1
Nb9 Nb 0.458 0.487 0.873 1
Nb10 Nb 0.515 0.597 0.150 1
Nb11 Nb 0.571 0.709 0.427 1
Nb12 Nb 0.626 0.819 0.706 1
Nb13 Nb 0.681 0.931 0.983 1
Nb14 Nb 0.736 0.044 0.257 1
Nb15 Nb 0.793 0.153 0.540 1
Nb16 Nb 0.843 0.262 0.820 1
Nb17 Nb 0.903 0.376 0.094 1
Nb18 Nb 0.959 0.487 0.372 1
O1 O 0.021 0.779 0.098 1
O2 O 0.026 0.152 0.851 1
O3 O 0.032 0.805 0.549 1
O4 O 0.087 0.666 0.326 1
O5 O 0.103 0.696 0.764 1
O6 O 0.108 0.317 0.019 1
O7 O 0.131 0.001 0.654 1
O8 O 0.137 0.375 0.407 1
O9 O 0.144 0.027 0.105 1
O10 O 0.198 0.888 0.882 1
O11 O 0.215 0.918 0.320 1
O12 O 0.221 0.542 0.573 1
O13 O 0.245 0.222 0.209 1
O14 O 0.249 0.599 0.962 1
O15 O 0.255 0.248 0.660 1
O16 O 0.308 0.110 0.439 1
O17 O 0.326 0.140 0.876 1
O18 O 0.331 0.763 0.130 1
O19 O 0.354 0.448 0.763 1
O20 O 0.360 0.820 0.518 1
O21 O 0.366 0.470 0.216 1
O22 O 0.408 0.335 0.991 1
O23 O 0.435 0.364 0.432 1
O24 O 0.443 0.986 0.685 1
O25 O 0.465 0.668 0.320 1
O26 O 0.469 0.033 0.073 1
O27 O 0.476 0.693 0.771 1
O28 O 0.533 0.554 0.548 1
O29 O 0.547 0.584 0.987 1
O30 O 0.555 0.205 0.251 1
O31 O 0.576 0.889 0.875 1
O32 O 0.582 0.264 0.629 1
O33 O 0.589 0.915 0.326 1
O34 O 0.643 0.774 0.103 1
O35 O 0.658 0.807 0.542 1
O36 O 0.665 0.429 0.797 1
O37 O 0.689 0.111 0.433 1
O38 O 0.693 0.486 0.185 1
O39 O 0.701 0.131 0.877 1
O40 O 0.755 0.998 0.660 1
O41 O 0.775 0.021 0.097 1
O42 O 0.776 0.653 0.351 1
O43 O 0.804 0.708 0.740 1
O44 O 0.808 0.341 0.980 1
O45 O 0.810 0.360 0.438 1
O46 O 0.864 0.220 0.215 1
O47 O 0.880 0.253 0.655 1
O48 O 0.888 0.873 0.907 1
O49 O 0.909 0.558 0.541 1
O50 O 0.915 0.932 0.295 1
O51 O 0.921 0.583 0.994 1
O52 O 0.979 0.443 0.768 1
O53 O 0.993 0.474 0.209 1
O54 O 0.999 0.098 0.463 1
```


# 2
Below is a relaxed structure of Li5Nb6O18, with properties calculated at the GGA-PBE level.

```
data_Li5Nb6O18
_cell_length_a 7.686
_cell_length_b 9.076
_cell_length_c 11.218
_cell_angle_alpha 105.77
_cell_angle_beta 95.18
_cell_angle_gamma 113.26
_space_group_name_H-M_alt 'P 1'
_space_group_IT_number 1
loop_
_space_group_symop_operation_xyz
'x,y,z'
loop_
_atom_site_label
_atom_site_type_symbol
_atom_site_fract_x
_atom_site_fract_y
_atom_site_fract_z
_atom_site_occupancy
Li1 Li 0.000 0.000 0.000 1
Li2 Li 0.001 0.993 0.501 1
Li3 Li 0.163 0.332 0.834 1
Li4 Li 0.336 0.668 0.670 1
Li5 Li 0.338 0.664 0.167 1
Li6 Li 0.500 0.996 0.500 1
Li7 Li 0.502 0.993 0.001 1
Li8 Li 0.662 0.329 0.332 1
Li9 Li 0.833 0.661 0.664 1
Li10 Li 0.835 0.668 0.171 1
Nb1 Nb 0.112 0.656 0.386 1
Nb2 Nb 0.116 0.666 0.886 1
Nb3 Nb 0.282 0.995 0.217 1
Nb4 Nb 0.286 0.003 0.723 1
Nb5 Nb 0.436 0.328 0.544 1
Nb6 Nb 0.444 0.330 0.053 1
Nb7 Nb 0.615 0.653 0.884 1
Nb8 Nb 0.618 0.664 0.382 1
Nb9 Nb 0.785 0.998 0.716 1
Nb10 Nb 0.789 0.004 0.222 1
Nb11 Nb 0.937 0.331 0.045 1
Nb12 Nb 0.946 0.332 0.554 1
O1 O 0.008 0.913 0.676 1
O2 O 0.008 0.917 0.178 1
O3 O 0.009 0.537 0.181 1
O4 O 0.017 0.545 0.684 1
O5 O 0.252 0.416 0.557 1
O6 O 0.254 0.412 0.057 1
O7 O 0.255 0.789 0.555 1
O8 O 0.269 0.797 0.056 1
O9 O 0.297 0.868 0.324 1
O10 O 0.301 0.117 0.076 1
O11 O 0.302 0.123 0.578 1
O12 O 0.302 0.869 0.825 1
O13 O 0.336 0.208 0.851 1
O14 O 0.342 0.582 0.843 1
O15 O 0.347 0.602 0.343 1
O16 O 0.363 0.207 0.351 1
O17 O 0.575 0.059 0.706 1
O18 O 0.591 0.079 0.218 1
O19 O 0.597 0.460 0.223 1
O20 O 0.599 0.478 0.714 1
O21 O 0.630 0.534 0.487 1
O22 O 0.631 0.535 0.996 1
O23 O 0.639 0.787 0.744 1
O24 O 0.641 0.785 0.238 1
O25 O 0.666 0.244 0.013 1
O26 O 0.673 0.250 0.517 1
O27 O 0.678 0.871 0.012 1
O28 O 0.691 0.879 0.513 1
O29 O 0.923 0.746 0.381 1
O30 O 0.923 0.746 0.888 1
O31 O 0.924 0.124 0.394 1
O32 O 0.930 0.130 0.886 1
O33 O 0.949 0.181 0.139 1
O34 O 0.957 0.451 0.412 1
O35 O 0.968 0.202 0.659 1
O36 O 0.987 0.456 0.914 1
```


# 3
Below is a relaxed structure of LiNb8O14, with properties calculated at the GGA-PBE level.

```
data_LiNb8O14
_cell_length_a 9.415
_cell_length_b 10.394
_cell_length_c 5.984
_cell_angle_alpha 90.00
_cell_angle_beta 90.00
_cell_angle_gamma 90.00
_space_group_name_H-M_alt 'P b a m'
_space_group_IT_number 55
loop_
_space_group_symop_operation_xyz
'x,y,z'
'-x,-y,-z'
'-x,-y,z'
'x,y,-z'
'x+1/2,-y+1/2,-z'
'-x+1/2,y+1/2,z'
'-x+1/2,y+1/2,-z'
'x+1/2,-y+1/2,z'
loop_
_atom_site_label
_atom_site_type_symbol
_atom_site_fract_x
_atom_site_fract_y
_atom_site_fract_z
_atom_site_occupancy
Li1 Li 0.000 0.000 0.000 1
Nb1 Nb 0.114 0.160 0.500 1
Nb2 Nb 0.120 0.667 0.000 1
Nb3 Nb 0.127 0.423 0.235 1
O1 O 0.000 0.000 0.500 1
O2 O 0.000 0.500 0.500 1
O3 O 0.005 0.248 0.250 1
O4 O 0.235 0.322 0.500 1
O5 O 0.242 0.845 0.000 1
O6 O 0.245 0.089 0.251 1
```


# 4
# Li3NbO4, optimized geometry, DFT GGA-PBE
data_Li3NbO4
_cell_length_a 4.167
_cell_length_b 4.167
_cell_length_c 8.603
_cell_angle_alpha 90.00
_cell_angle_beta 90.00
_cell_angle_gamma 90.00
_space_group_name_H-M_alt 'I 4/m m m'
_space_group_IT_number 139
_space_group_name_Hall '-I 4 2'
loop_
_atom_site_label
_atom_site_type_symbol
_atom_site_fract_x
_atom_site_fract_y
_atom_site_fract_z
_atom_site_occupancy
Li1 Li 0.000 0.000 0.000 1
Li2 Li 0.000 0.500 0.250 1
Nb1 Nb 0.000 0.000 0.500 1
O1 O 0.000 0.000 0.275 1
O2 O 0.000 0.500 0.000 1
# Excess energy over the best structure of this formula in the dataset: 67 meV per atom


# 5
Below is a relaxed structure of Li8NbO6, with properties calculated at the GGA-PBE level.

```
data_Li8NbO6
_cell_length_a 5.431
_cell_length_b 5.539
_cell_length_c 6.026
_cell_angle_alpha 91.03
_cell_angle_beta 115.89
_cell_angle_gamma 119.19
_space_group_name_H-M_alt 'P -1'
_space_group_IT_number 2
loop_
_space_group_symop_operation_xyz
'x,y,z'
'-x,-y,-z'
loop_
_atom_site_label
_atom_site_type_symbol
_atom_site_fract_x
_atom_site_fract_y
_atom_site_fract_z
_atom_site_occupancy
Li1 Li 0.088 0.101 0.355 1
Li2 Li 0.202 0.363 0.033 1
Li3 Li 0.236 0.503 0.635 1
Li4 Li 0.369 0.764 0.362 1
Nb1 Nb 0.500 0.000 0.000 1
O1 O 0.019 0.611 0.758 1
O2 O 0.346 0.237 0.756 1
O3 O 0.368 0.094 0.244 1
```


# 6
Below is a relaxed structure of Li6NbO6, with properties calculated at the GGA-PBE level.

```
data_Li6NbO6
_cell_length_a 6.031
_cell_length_b 9.490
_cell_length_c 9.028
_cell_angle_alpha 90.00
_cell_angle_beta 91.69
_cell_angle_gamma 90.00
_space_group_name_H-M_alt 'C 1 2/c 1'
_space_group_IT_number 15
loop_
_space_group_symop_operation_xyz
'x,y,z'
'-x,-y,-z'
'-x,y,-z+1/2'
'x,-y,z+1/2'
'x+1/2,y+1/2,z'
'-x+1/2,-y+1/2,-z'
'-x+1/2,y+1/2,-z+1/2'
'x+1/2,-y+1/2,z+1/2'
loop_
_atom_site_label
_atom_site_type_symbol
_atom_site_fract_x
_atom_site_fract_y
_atom_site_fract_z
_atom_site_occupancy
Li1 Li 0.059 0.104 0.370 1
Li2 Li 0.068 0.446 0.629 1
Li3 Li 0.190 0.167 0.685 1
Nb1 Nb 0.250 0.250 0.000 1
O1 O 0.068 0.315 0.459 1
O2 O 0.141 0.084 0.888 1
O3 O 0.237 0.360 0.806 1
```


# 7
Below is a relaxed structure of LiNb10O18, with properties calculated at the GGA-PBE level.

```
data_LiNb10O18
_cell_length_a 7.936
_cell_length_b 9.458
_cell_length_c 10.422
_cell_angle_alpha 90.00
_cell_angle_beta 110.45
_cell_angle_gamma 90.00
_space_group_name_H-M_alt 'P 1 21/c 1'
_space_group_IT_number 14
loop_
_space_group_symop_operation_xyz
'x,y,z'
'-x,-y,-z'
'-x,y+1/2,-z+1/2'
'x,-y+1/2,z+1/2'
loop_
_atom_site_label
_atom_site_type_symbol
_atom_site_fract_x
_atom_site_fract_y
_atom_site_fract_z
_atom_site_occupancy
Li1 Li 0.000 0.000 0.000 1
Nb1 Nb 0.004 0.116 0.669 1
Nb2 Nb 0.180 0.630 0.123 1
Nb3 Nb 0.197 0.126 0.481 1
Nb4 Nb 0.396 0.113 0.270 1
Nb5 Nb 0.397 0.629 0.439 1
O1 O 0.011 0.238 0.850 1
O2 O 0.195 0.747 0.461 1
O3 O 0.200 0.005 0.303 1
O4 O 0.200 0.513 0.304 1
O5 O 0.202 0.247 0.146 1
O6 O 0.395 0.008 0.098 1
O7 O 0.399 0.503 0.109 1
O8 O 0.411 0.736 0.274 1
O9 O 0.418 0.243 0.432 1
```


# 8
Below is a relaxed structure of Li3Nb6O11, with properties calculated at the GGA-PBE level.

```
data_Li3Nb6O11
_cell_length_a 6.0581
_cell_length_b 6.0581
_cell_length_c 7.5624
_cell_angle_alpha 90.00
_cell_angle_beta 90.00
_cell_angle_gamma 120.00
_space_group_name_H-M_alt 'P -3 m 1'
_space_group_IT_number 164
_space_group_name_Hall '-P 3 2"'
loop_
_atom_site_label
_atom_site_type_symbol
_atom_site_fract_x
_atom_site_fract_y
_atom_site_fract_z
_atom_site_occupancy
Li1 Li 0.0000 0.0000 0.0000 1
Li2 Li 0.3333 0.6667 0.0784 1
Nb1 Nb 0.1591 0.3182 0.6641 1
O1 O 0.0000 0.5000 0.5000 1
O2 O 0.1593 0.3187 0.1851 1
O3 O 0.3333 0.6667 0.8164 1
```


| no. | ΔE_f (eV/f.u.) |
| --- | --- |
| 1 | -255.9 |
| 2 | -82.0 |
| 3 | -62.5 |
| 4 | -21.2 |
| 5 | -33.9 |
| 6 | -29.4 |
| 7 | -80.2 |
| 8 | -52.4 |